Record 1
The following is a DFT calculation (PBE+U) of crystalline ZnNiP2O7 at its relaxed geometry. Values from VASP.

Geometry as Quantum ESPRESSO input:
```
&SYSTEM
  ibrav = 0, nat = 44, ntyp = 4
/
ATOMIC_SPECIES
Zn 65.41 Zn.upf
Ni 58.69 Ni.upf
P 30.97 P.upf
O 16.00 O.upf
CELL_PARAMETERS angstrom
7.0261 0.0000 0.0000
0.0000 8.3886 0.0000
-3.5937 0.0000 8.3581
ATOMIC_POSITIONS angstrom
Zn 0.2287 0.4846 2.6573
Zn -1.5682 3.7097 6.8364
Zn 5.0005 4.6789 1.5218
Zn 3.2037 7.9040 5.7008
Ni -1.3008 0.6209 7.4410
Ni 0.4961 3.5734 3.2620
Ni 2.9362 4.8152 5.0962
Ni 4.7331 7.7677 0.9171
P -3.2641 6.1052 8.0947
P -1.4672 6.4778 3.9156
P 2.1577 6.1438 2.1696
P 0.3608 6.4391 6.3487
P 3.0715 1.9495 2.0094
P 1.2746 2.2448 6.1885
P 4.8995 1.9108 4.4425
P 6.6964 2.2835 0.2635
O -2.2106 0.7692 5.4736
O -0.4137 3.4251 1.2945
O -1.0451 5.1126 3.3409
O -2.8419 7.4703 7.5200
O -0.7372 1.9913 3.7791
O -2.5341 2.2030 7.9582
O 1.3763 5.6457 0.8457
O -0.4206 6.9372 5.0248
O 1.6063 2.0258 2.4857
O -0.1906 2.1685 6.6648
O -0.1838 5.1186 6.8263
O 1.6131 7.4643 2.6472
O 1.9769 4.9902 3.1769
O 0.1801 7.5927 7.3560
O 3.2523 0.7959 1.0022
O 1.4554 3.3984 5.1812
O 1.8193 0.9243 5.7109
O 3.6161 3.2700 1.5318
O 3.6229 6.2201 1.6934
O 1.8261 6.3628 5.8724
O 3.8529 1.4514 3.3334
O 2.0561 2.7429 7.5124
O 5.9664 6.1856 0.3999
O 4.1695 6.3973 4.5790
O 6.2743 0.9183 0.8381
O 4.4774 3.2760 5.0172
O 3.8460 4.9635 7.0636
O 5.6429 7.6194 2.8845
```

Properties
M_tot = 2.0 μB/f.u.
Crystal system = monoclinic
Energy of formation = -53.567 kcal/mol of atoms
Energy with MP2020 corrections = -7.096 eV per atom

---

Record 2
The following is a DFT calculation (PBE+U) of crystalline MoO3 at its relaxed geometry. Values from VASP.

Geometry as Quantum ESPRESSO input:
```
&SYSTEM
  ibrav = 0, nat = 16, ntyp = 2
/
ATOMIC_SPECIES
Mo 95.94 Mo.upf
O 16.00 O.upf
CELL_PARAMETERS angstrom
5.4000 0.0000 0.0000
0.2026 5.4366 0.0000
0.1215 0.0602 7.7955
ATOMIC_POSITIONS angstrom
Mo 0.0000 0.0000 0.0000
Mo 0.1193 0.0592 3.8191
Mo 2.8325 2.8317 3.8998
Mo 2.9744 2.8228 7.7194
O 0.5710 0.1550 2.0961
O 1.5353 1.6716 4.2671
O 1.6107 1.6920 7.7136
O 1.9598 4.4127 4.3198
O 2.0237 4.4131 7.7674
O 2.7316 2.8855 2.1309
O 3.4252 2.8248 5.9942
O 4.2013 1.3562 0.4118
O 4.2601 1.3898 3.8760
O 4.5763 4.0323 0.3791
O 4.6433 4.0829 3.8070
O 5.3936 0.1119 6.0281
```

Properties
M_tot = 0.0 μB/f.u.
Crystal system = triclinic
Energy of formation = -44.152 kcal/mol of atoms
Energy with MP2020 corrections = -8.337 eV per atom

---

Record 3
The following is a DFT calculation (PBE+U) of crystalline P4WO12 at its relaxed geometry. Values from VASP.

Geometry as Quantum ESPRESSO input:
```
&SYSTEM
  ibrav = 0, nat = 34, ntyp = 3
/
ATOMIC_SPECIES
P 30.97 P.upf
W 183.84 W.upf
O 16.00 O.upf
CELL_PARAMETERS angstrom
6.3916 -4.1932 0.0000
6.3916 4.1932 0.0000
-4.6770 0.0000 9.0069
ATOMIC_POSITIONS angstrom
P -0.9890 0.1406 6.1716
P 1.3495 -0.1406 1.6682
P 1.7978 2.1550 8.7232
P 3.9699 2.1550 4.7871
P 4.1363 -2.1550 4.2198
P 6.3084 -2.1550 0.2837
P 6.7568 0.1406 7.3387
P 9.0953 -0.1406 2.8353
W 3.1958 2.0966 0.0000
W 0.8573 -2.0966 4.5034
O 1.6121 3.3966 7.6387
O 2.8476 2.7978 3.8025
O -1.0995 0.6132 7.6022
O 4.1557 3.3966 5.8716
O 5.1614 2.1497 0.5426
O 2.6424 0.5720 1.3482
O 7.5972 2.7978 0.7009
O 1.2390 -0.6132 3.0987
O 5.2834 2.1497 3.9608
O 0.3039 -0.5720 5.8517
O 3.4549 0.9623 5.4318
O 2.3128 0.9623 8.0786
O 5.7934 -0.9623 0.9283
O 4.6513 -0.9623 3.5751
O 7.8023 0.5720 3.1552
O 2.8229 -2.1497 5.0461
O 6.8672 0.6132 5.9082
O 0.5091 -2.7978 8.3060
O 5.4638 -0.5720 7.6587
O 2.9448 -2.1497 8.4643
O 3.9506 -3.3966 3.1353
O 9.2057 -0.6132 1.4047
O 5.2587 -2.7978 5.2044
O 6.4942 -3.3966 1.3682
```

Properties
M_tot = 2.0 μB/f.u.
Crystal system = monoclinic
Energy of formation = -56.812 kcal/mol of atoms
Energy with MP2020 corrections = -7.992 eV per atom

---

- The highest energy with MP2020 corrections belongs to which entry?
  ZnNiP2O7

---

- The lowest energy of formation belongs to which entry?
  P4WO12